Record 1
Entry from the Materials Project: a geometry-optimized Ca3Ta2O8 structure (PBE-GGA).

Cell: 9.755 9.755 9.755 Å, 105.64 105.64 117.44°
Atoms (fractional coordinates):
Ta 0.695 0.920 0.614
Ta 0.331 0.445 0.276
Ta 0.919 0.305 0.224
Ta 0.170 0.055 0.724
Ta 0.305 0.081 0.386
Ta 0.080 0.695 0.776
Ta 0.555 0.830 0.886
Ta 0.945 0.669 0.114
O 0.455 0.375 0.190
O 0.212 0.825 0.309
O 0.065 0.485 0.690
O 0.432 0.582 0.770
O 0.516 0.903 0.691
O 0.438 0.088 0.270
O 0.734 0.847 0.809
O 0.175 0.484 0.387
O 0.812 0.662 0.230
O 0.317 0.292 0.399
O 0.168 0.067 0.525
O 0.082 0.683 0.975
O 0.542 0.643 0.475
O 0.893 0.918 0.601
O 0.418 0.188 0.850
O 0.708 0.107 0.025
O 0.153 0.962 0.887
O 0.185 0.265 0.810
O 0.075 0.266 0.113
O 0.735 0.545 0.920
O 0.338 0.568 0.150
O 0.912 0.182 0.350
O 0.625 0.935 0.420
O 0.818 0.168 0.730
O 0.515 0.205 0.580
O 0.357 0.832 0.899
O 0.038 0.925 0.191
O 0.933 0.458 0.101
O 0.097 0.788 0.613
O 0.625 0.815 0.080
O 0.795 0.375 0.310
O 0.832 0.562 0.650
Ca 0.750 0.250 0.500
Ca 0.652 0.226 0.827
Ca 0.000 0.000 0.000
Ca 0.075 0.402 0.926
Ca 0.476 0.149 0.074
Ca 0.598 0.524 0.673
Ca 0.250 0.750 0.500
Ca 0.500 0.500 0.000
Ca 0.851 0.925 0.327
Ca 0.399 0.825 0.173
Ca 0.774 0.601 0.426
Ca 0.175 0.348 0.574

Values from the calculation:
ΔE to the lowest computed polymorph = 0.0 kJ/mol of atoms
Total energy after the MP2020 corrections = -8.81 eV/atom
E_tot = -109.0 eV per formula unit
Symmetry = I4_1/a


Record 2
Entry from the Materials Project: a geometry-optimized Sc15C19 structure (PBE-GGA).

Cell: 7.540 7.540 14.666 Å, 90.00 90.00 90.00°
Atoms (fractional coordinates):
C 0.500 0.500 0.661
C 0.803 0.405 0.167
C 0.000 0.000 0.161
C 0.405 0.197 0.167
C 0.698 0.104 0.000
C 0.697 0.905 0.667
C 0.000 0.000 0.500
C 0.303 0.095 0.333
C 0.803 0.405 0.833
C 0.500 0.500 0.000
C 0.896 0.698 0.000
C 0.500 0.500 0.339
C 0.595 0.803 0.833
C 0.197 0.595 0.833
C 0.151 0.651 0.750
C 0.802 0.604 0.500
C 0.905 0.303 0.333
C 0.604 0.198 0.500
C 0.849 0.349 0.250
C 0.349 0.151 0.750
C 0.151 0.651 0.250
C 0.405 0.197 0.833
C 0.197 0.595 0.167
C 0.000 0.000 0.839
C 0.303 0.095 0.667
C 0.104 0.302 0.000
C 0.651 0.849 0.250
C 0.849 0.349 0.750
C 0.095 0.697 0.333
C 0.905 0.303 0.667
C 0.349 0.151 0.250
C 0.198 0.396 0.500
C 0.651 0.849 0.750
C 0.302 0.896 0.000
C 0.095 0.697 0.667
C 0.595 0.803 0.167
C 0.396 0.802 0.500
C 0.697 0.905 0.333
Sc 0.784 0.599 0.647
Sc 0.901 0.716 0.147
Sc 0.401 0.784 0.647
Sc 0.284 0.901 0.147
Sc 0.000 0.000 0.333
Sc 0.704 0.907 0.500
Sc 0.000 0.000 0.000
Sc 0.093 0.704 0.500
Sc 0.099 0.284 0.147
Sc 0.796 0.407 0.000
Sc 0.204 0.593 0.000
Sc 0.216 0.401 0.353
Sc 0.593 0.796 0.000
Sc 0.401 0.784 0.353
Sc 0.407 0.204 0.000
Sc 0.216 0.401 0.647
Sc 0.599 0.216 0.353
Sc 0.784 0.599 0.353
Sc 0.284 0.901 0.853
Sc 0.907 0.296 0.500
Sc 0.716 0.099 0.147
Sc 0.500 0.500 0.833
Sc 0.716 0.099 0.853
Sc 0.500 0.500 0.500
Sc 0.500 0.500 0.167
Sc 0.599 0.216 0.647
Sc 0.296 0.093 0.500
Sc 0.099 0.284 0.853
Sc 0.000 0.000 0.667
Sc 0.901 0.716 0.853

Values from the calculation:
E_tot = -284.4 eV per formula unit
Symmetry = P4/mnc


Record 3
Entry from the Materials Project: a geometry-optimized ZnN2Cl2 structure (PBE-GGA).

Cell: 7.108 7.108 7.108 Å, 73.06 69.75 111.26°
Atoms (fractional coordinates):
Cl 0.262 0.761 0.999
Cl 0.240 0.239 0.499
Cl 0.738 0.239 0.001
Cl 0.760 0.761 0.501
N 0.762 0.219 0.542
N 0.762 0.804 0.958
N 0.238 0.196 0.042
N 0.238 0.781 0.458
Zn 0.603 0.853 0.750
Zn 0.397 0.147 0.250

Values from the calculation:
Total energy after the MP2020 corrections = -3.06 eV/atom
E_tot = -14.1 eV per formula unit
Symmetry = Imma


Record 4
Entry from the Materials Project: a geometry-optimized IrC structure (PBE-GGA).

Cell: 3.050 3.050 2.673 Å, 90.00 90.00 120.00°
Atoms (fractional coordinates):
C 0.333 0.667 0.500
Ir 0.000 0.000 0.000

Values from the calculation:
ΔE to the lowest computed polymorph = 66.5 kJ/mol of atoms
E_tot = -15.6 eV per formula unit
Symmetry = P-6m2


Record 5
Entry from the Materials Project: a geometry-optimized SrCuH3ClO3 structure (PBE-GGA).

Cell: 6.611 6.636 16.109 Å, 90.00 90.00 90.00°
Atoms (fractional coordinates):
H 0.117 0.499 0.627
H 0.505 0.122 0.340
H 0.117 0.499 0.373
H 0.232 0.542 0.138
H 0.313 0.294 0.211
H 0.313 0.294 0.789
H 0.803 0.180 0.000
H 0.232 0.542 0.862
H 0.303 0.820 0.500
H 0.005 0.878 0.840
H 0.617 0.501 0.127
H 0.732 0.458 0.362
H 0.617 0.501 0.873
H 0.005 0.878 0.160
H 0.732 0.458 0.638
H 0.813 0.706 0.289
H 0.813 0.706 0.711
H 0.505 0.122 0.660
O 0.692 0.514 0.584
O 0.100 0.388 0.588
O 0.692 0.514 0.416
O 0.937 0.947 0.114
O 0.437 0.053 0.386
O 0.192 0.486 0.916
O 0.251 0.162 0.800
O 0.600 0.612 0.088
O 0.100 0.388 0.412
O 0.751 0.838 0.700
O 0.192 0.486 0.084
O 0.937 0.947 0.886
O 0.251 0.162 0.200
O 0.424 0.735 0.500
O 0.437 0.053 0.614
O 0.924 0.265 0.000
O 0.751 0.838 0.300
O 0.600 0.612 0.912
Cl 0.977 0.924 0.500
Cl 0.735 0.316 0.761
Cl 0.735 0.316 0.239
Cl 0.235 0.684 0.739
Cl 0.235 0.684 0.261
Cl 0.477 0.076 0.000
Sr 0.559 0.933 0.170
Sr 0.059 0.067 0.330
Sr 0.913 0.667 0.000
Sr 0.559 0.933 0.830
Sr 0.413 0.333 0.500
Sr 0.059 0.067 0.670
Cu 0.910 0.473 0.500
Cu 0.581 0.793 0.601
Cu 0.410 0.527 0.000
Cu 0.581 0.793 0.399
Cu 0.081 0.207 0.101
Cu 0.081 0.207 0.899

Values from the calculation:
Total energy after the MP2020 corrections = -5.27 eV/atom
E_tot = -45.3 eV per formula unit
Symmetry = Pmn2_1


Record 6
Entry from the Materials Project: a geometry-optimized TaCoB2 structure (PBE-GGA).

Cell: 5.946 3.161 8.179 Å, 90.00 90.00 90.00°
Atoms (fractional coordinates):
B 0.267 0.750 0.077
B 0.733 0.250 0.923
B 0.233 0.250 0.577
B 0.767 0.750 0.423
B 0.336 0.750 0.671
B 0.164 0.250 0.171
B 0.836 0.750 0.829
B 0.664 0.250 0.329
Ta 0.361 0.750 0.369
Ta 0.861 0.750 0.131
Ta 0.639 0.250 0.631
Ta 0.139 0.250 0.869
Co 0.491 0.250 0.114
Co 0.991 0.250 0.386
Co 0.009 0.750 0.614
Co 0.509 0.750 0.886

Values from the calculation:
E_tot = -34.9 eV per formula unit
Symmetry = Pnma


Record 7
Entry from the Materials Project: a geometry-optimized Mg3SO9 structure (PBE-GGA).

Cell: 6.517 7.118 7.858 Å, 85.47 109.74 127.89°
Atoms (fractional coordinates):
O 0.028 0.890 0.670
O 0.798 0.907 0.618
O 0.728 0.922 0.438
O 0.881 0.272 0.825
O 0.373 0.640 0.739
O 0.742 0.355 0.730
O 0.801 0.679 0.177
O 0.074 0.429 0.002
O 0.424 0.817 0.860
Mg 0.011 0.896 0.414
Mg 0.452 0.578 0.995
Mg 0.058 0.705 0.871
S 0.115 0.910 0.145

Values from the calculation:
ΔE to the lowest computed polymorph = 13.4 kJ/mol of atoms
E_tot = -62.3 eV per formula unit
Symmetry = P1


Record 8
Entry from the Materials Project: a geometry-optimized Li3Ca structure (PBE-GGA).

Cell: 5.295 5.295 5.295 Å, 60.00 60.00 60.00°
Atoms (fractional coordinates):
Li 0.250 0.250 0.250
Li 0.000 0.000 0.000
Li 0.750 0.750 0.750
Ca 0.500 0.500 0.500

Values from the calculation:
ΔE to the lowest computed polymorph = 0.3 kJ/mol of atoms
E_tot = -7.5 eV per formula unit
Symmetry = Fm-3m


Record 9
Entry from the Materials Project: a geometry-optimized CaCO3 structure (PBE-GGA).

Cell: 7.228 7.263 26.004 Å, 82.20 82.35 60.20°
Atoms (fractional coordinates):
Ca 0.620 0.580 0.666
Ca 0.924 0.979 0.667
Ca 0.191 0.232 0.833
Ca 0.728 0.730 0.333
Ca 0.418 0.463 0.166
Ca 0.000 0.000 0.500
Ca 0.112 0.112 0.167
Ca 0.809 0.768 0.167
Ca 0.354 0.347 0.500
Ca 0.888 0.888 0.833
Ca 0.151 0.201 0.999
Ca 0.500 0.500 0.000
Ca 0.646 0.653 0.500
Ca 0.272 0.270 0.667
Ca 0.849 0.799 0.001
Ca 0.380 0.420 0.334
Ca 0.582 0.537 0.834
Ca 0.076 0.021 0.333
O 0.606 0.226 0.800
O 0.050 0.679 0.467
O 0.410 0.174 0.129
O 0.365 0.604 0.544
O 0.134 0.035 0.081
O 0.873 0.250 0.878
O 0.635 0.396 0.456
O 0.199 0.292 0.581
O 0.177 0.546 0.864
O 0.181 0.951 0.793
O 0.930 0.544 0.702
O 0.882 0.485 0.048
O 0.220 0.972 0.704
O 0.684 0.923 0.083
O 0.406 0.535 0.916
O 0.435 0.207 0.040
O 0.461 0.692 0.750
O 0.650 0.261 0.712
O 0.539 0.308 0.250
O 0.912 0.137 0.414
O 0.909 0.796 0.748
O 0.590 0.826 0.871
O 0.091 0.204 0.252
O 0.565 0.793 0.960
O 0.380 0.001 0.370
O 0.866 0.965 0.919
O 0.343 0.962 0.459
O 0.101 0.488 0.210
O 0.594 0.465 0.084
O 0.350 0.739 0.288
O 0.323 0.577 0.633
O 0.823 0.454 0.136
O 0.127 0.750 0.122
O 0.801 0.708 0.419
O 0.950 0.321 0.533
O 0.316 0.077 0.917
O 0.118 0.515 0.952
O 0.838 0.215 0.966
O 0.088 0.863 0.586
O 0.364 0.245 0.751
O 0.070 0.456 0.298
O 0.677 0.423 0.367
O 0.780 0.028 0.296
O 0.368 0.242 0.417
O 0.905 0.295 0.621
O 0.632 0.758 0.583
O 0.819 0.049 0.207
O 0.394 0.774 0.200
O 0.620 0.999 0.630
O 0.899 0.512 0.790
O 0.657 0.038 0.541
O 0.636 0.755 0.249
O 0.095 0.705 0.379
O 0.162 0.785 0.034
C 0.769 0.468 0.089
C 0.714 0.126 0.251
C 0.492 0.896 0.916
C 0.016 0.303 0.578
C 0.087 0.385 0.254
C 0.260 0.679 0.588
C 0.637 0.934 0.585
C 0.984 0.697 0.422
C 0.363 0.066 0.415
C 0.542 0.244 0.754
C 0.508 0.104 0.084
C 0.740 0.321 0.412
C 0.458 0.756 0.246
C 0.286 0.874 0.749
C 0.913 0.615 0.746
C 0.231 0.532 0.911
C 0.859 0.145 0.921
C 0.141 0.855 0.079

Values from the calculation:
Total energy after the MP2020 corrections = -7.90 eV/atom
E_tot = -37.4 eV per formula unit
Symmetry = P-1